1.
# PBE TbAl3Cl12, optimized geometry
data_TbAl3Cl12
_cell_length_a 10.840
_cell_length_b 10.840
_cell_length_c 16.044
_cell_angle_alpha 90.00
_cell_angle_beta 90.00
_cell_angle_gamma 120.00
_space_group_name_H-M_alt 'P 1'
_space_group_IT_number 1
loop_
_space_group_symop_operation_xyz
'x,y,z'
loop_
_atom_site_label
_atom_site_fract_x
_atom_site_fract_y
_atom_site_fract_z
Tb1 0.324 0.162 0.000
Tb2 0.838 0.676 0.667
Tb3 0.838 0.162 0.333
Al1 0.065 0.935 0.833
Al2 0.462 0.430 0.603
Al3 0.570 0.032 0.937
Al4 0.968 0.538 0.270
Al5 0.065 0.130 0.167
Al6 0.870 0.935 0.500
Al7 0.462 0.032 0.397
Al8 0.968 0.430 0.730
Al9 0.570 0.538 0.063
Cl1 0.342 0.508 0.544
Cl2 0.166 0.658 0.211
Cl3 0.492 0.834 0.878
Cl4 0.124 0.258 0.279
Cl5 0.742 0.867 0.613
Cl6 0.133 0.876 0.946
Cl7 0.742 0.876 0.387
Cl8 0.133 0.258 0.054
Cl9 0.124 0.867 0.721
Cl10 0.559 0.012 0.278
Cl11 0.988 0.547 0.612
Cl12 0.453 0.441 0.945
Cl13 0.988 0.441 0.388
Cl14 0.453 0.012 0.055
Cl15 0.559 0.547 0.722
Cl16 0.837 0.330 0.205
Cl17 0.670 0.508 0.538
Cl18 0.492 0.163 0.872
Cl19 0.670 0.163 0.462
Cl20 0.492 0.330 0.128
Cl21 0.837 0.508 0.795
Cl22 0.994 0.162 0.482
Cl23 0.838 0.832 0.815
Cl24 0.168 0.006 0.149
Cl25 0.838 0.006 0.185
Cl26 0.168 0.162 0.851
Cl27 0.994 0.832 0.518
Cl28 0.363 0.155 0.376
Cl29 0.845 0.209 0.709
Cl30 0.791 0.637 0.043
Cl31 0.845 0.637 0.291
Cl32 0.791 0.155 0.957
Cl33 0.363 0.209 0.624
Cl34 0.342 0.834 0.456
Cl35 0.166 0.508 0.789
Cl36 0.492 0.658 0.122
# Calculated volume   1633 Å³/cell
# Space-group type   P3_112 (151)
# DFT formation energy   -2176.6 meV/atom

---

2.
# PBE Na4LaHfSi2PO12, optimized geometry
data_Na4LaHfSi2PO12
_cell_length_a 9.533
_cell_length_b 9.533
_cell_length_c 22.540
_cell_angle_alpha 90.04
_cell_angle_beta 89.96
_cell_angle_gamma 119.75
_space_group_name_H-M_alt 'P 1'
_space_group_IT_number 1
loop_
_space_group_symop_operation_xyz
'x,y,z'
loop_
_atom_site_label
_atom_site_fract_x
_atom_site_fract_y
_atom_site_fract_z
Na1 0.648 0.008 0.250
Na2 0.365 0.369 0.242
Na3 0.988 0.627 0.247
Na4 0.631 0.635 0.742
Na5 0.992 0.352 0.750
Na6 0.373 0.012 0.747
Na7 0.315 0.341 0.583
Na8 0.031 0.702 0.575
Na9 0.655 0.960 0.581
Na10 0.298 0.969 0.075
Na11 0.659 0.685 0.083
Na12 0.040 0.345 0.081
Na13 0.981 0.675 0.916
Na14 0.698 0.035 0.909
Na15 0.321 0.293 0.914
Na16 0.965 0.302 0.409
Na17 0.325 0.019 0.416
Na18 0.707 0.679 0.414
Na19 0.989 0.986 0.499
Na20 0.014 0.011 0.999
Na21 0.656 0.319 0.833
Na22 0.681 0.344 0.333
Na23 0.323 0.652 0.166
Na24 0.348 0.677 0.666
La1 0.995 0.997 0.343
La2 0.003 0.005 0.843
La3 0.662 0.331 0.677
La4 0.669 0.338 0.177
La5 0.329 0.664 0.010
La6 0.336 0.671 0.510
Hf1 0.999 0.001 0.649
Hf2 0.999 0.001 0.149
Hf3 0.666 0.335 0.982
Hf4 0.665 0.334 0.482
Hf5 0.332 0.668 0.316
Hf6 0.332 0.668 0.816
Si1 0.686 0.701 0.251
Si2 0.013 0.312 0.252
Si3 0.299 0.314 0.751
Si4 0.688 0.987 0.752
Si5 0.353 0.034 0.584
Si6 0.679 0.645 0.585
Si7 0.966 0.647 0.084
Si8 0.355 0.321 0.085
Si9 0.020 0.367 0.917
Si10 0.346 0.979 0.918
Si11 0.633 0.980 0.417
Si12 0.021 0.654 0.418
P1 0.294 0.982 0.250
P2 0.018 0.706 0.750
P3 0.961 0.315 0.583
P4 0.685 0.039 0.083
P5 0.628 0.648 0.916
P6 0.352 0.372 0.416
O1 0.237 0.014 0.309
O2 0.783 0.764 0.313
O3 0.991 0.221 0.314
O4 0.236 0.217 0.813
O5 0.986 0.763 0.809
O6 0.779 0.009 0.814
O7 0.802 0.974 0.697
O8 0.172 0.199 0.696
O9 0.028 0.824 0.698
O10 0.801 0.828 0.196
O11 0.026 0.198 0.197
O12 0.176 0.972 0.198
O13 0.904 0.348 0.642
O14 0.450 0.097 0.646
O15 0.658 0.554 0.647
O16 0.903 0.550 0.146
O17 0.652 0.096 0.142
O18 0.446 0.342 0.147
O19 0.468 0.307 0.030
O20 0.838 0.533 0.030
O21 0.695 0.157 0.031
O22 0.467 0.162 0.530
O23 0.693 0.532 0.530
O24 0.843 0.305 0.531
O25 0.571 0.681 0.975
O26 0.117 0.430 0.979
O27 0.324 0.888 0.981
O28 0.570 0.883 0.479
O29 0.319 0.429 0.475
O30 0.112 0.676 0.481
O31 0.135 0.640 0.363
O32 0.505 0.866 0.363
O33 0.362 0.491 0.365
O34 0.134 0.495 0.863
O35 0.360 0.865 0.863
O36 0.509 0.638 0.865
O37 0.995 0.811 0.414
O38 0.819 0.017 0.412
O39 0.218 0.197 0.407
O40 0.983 0.181 0.912
O41 0.189 0.005 0.914
O42 0.803 0.782 0.907
O43 0.953 0.146 0.585
O44 0.181 0.040 0.586
O45 0.853 0.820 0.586
O46 0.960 0.819 0.086
O47 0.854 0.047 0.085
O48 0.180 0.147 0.086
O49 0.662 0.144 0.747
O50 0.486 0.351 0.745
O51 0.884 0.530 0.740
O52 0.649 0.514 0.245
O53 0.856 0.338 0.247
O54 0.470 0.116 0.240
O55 0.619 0.479 0.918
O56 0.848 0.373 0.920
O57 0.520 0.154 0.919
O58 0.627 0.152 0.420
O59 0.521 0.381 0.418
O60 0.846 0.480 0.419
O61 0.329 0.477 0.081
O62 0.152 0.684 0.079
O63 0.551 0.863 0.074
O64 0.316 0.848 0.579
O65 0.523 0.671 0.581
O66 0.137 0.449 0.574
O67 0.286 0.813 0.252
O68 0.514 0.707 0.253
O69 0.186 0.487 0.253
O70 0.293 0.486 0.753
O71 0.187 0.714 0.752
O72 0.513 0.814 0.753
# Calculated volume   1779 Å³/cell
# Spin magnetization   0.000 μB per cell
# DFT formation energy   -3056.8 meV/atom

---

3.
# PBE SnTe4Pb3, optimized geometry
data_SnTe4Pb3
_cell_length_a 4.625
_cell_length_b 4.625
_cell_length_c 13.098
_cell_angle_alpha 90.00
_cell_angle_beta 90.00
_cell_angle_gamma 90.00
_space_group_name_H-M_alt 'P 1'
_space_group_IT_number 1
loop_
_space_group_symop_operation_xyz
'x,y,z'
loop_
_atom_site_label
_atom_site_fract_x
_atom_site_fract_y
_atom_site_fract_z
Sn1 0.000 0.000 0.000
Te1 0.000 0.000 0.248
Te2 0.500 0.500 0.000
Te3 0.000 0.000 0.752
Te4 0.500 0.500 0.500
Pb1 0.500 0.500 0.750
Pb2 0.000 0.000 0.500
Pb3 0.500 0.500 0.250
# Calculated volume   280 Å³/cell
# Space-group type   P4/mmm (123)
# DFT formation energy   -372.2 meV/atom

---

4.
# PBE Na8Y2Zr2Si5SO24, optimized geometry
data_Na8Y2Zr2Si5SO24
_cell_length_a 9.424
_cell_length_b 9.410
_cell_length_c 22.957
_cell_angle_alpha 90.07
_cell_angle_beta 89.81
_cell_angle_gamma 119.94
_space_group_name_H-M_alt 'P 1'
_space_group_IT_number 1
loop_
_space_group_symop_operation_xyz
'x,y,z'
loop_
_atom_site_label
_atom_site_fract_x
_atom_site_fract_y
_atom_site_fract_z
Na1 0.649 0.008 0.254
Na2 0.351 0.359 0.246
Na3 0.000 0.642 0.250
Na4 0.636 0.635 0.744
Na5 0.990 0.355 0.748
Na6 0.369 0.013 0.748
Na7 0.300 0.338 0.590
Na8 0.039 0.703 0.583
Na9 0.665 0.958 0.584
Na10 0.277 0.964 0.080
Na11 0.672 0.682 0.092
Na12 0.053 0.341 0.090
Na13 0.986 0.671 0.915
Na14 0.708 0.053 0.902
Na15 0.313 0.276 0.919
Na16 0.952 0.293 0.408
Na17 0.327 0.012 0.416
Na18 0.718 0.687 0.419
Na19 0.984 0.981 0.503
Na20 0.036 0.014 0.000
Na21 0.668 0.319 0.829
Na22 0.679 0.329 0.332
Na23 0.318 0.646 0.168
Na24 0.337 0.667 0.663
Y1 0.998 0.996 0.345
Y2 0.007 0.004 0.845
Y3 0.003 0.999 0.156
Y4 0.666 0.335 0.980
Y5 0.318 0.657 0.018
Y6 0.336 0.676 0.521
Zr1 0.000 0.001 0.650
Zr2 0.669 0.334 0.684
Zr3 0.667 0.343 0.185
Zr4 0.676 0.331 0.486
Zr5 0.330 0.678 0.317
Zr6 0.320 0.667 0.811
Si1 0.313 0.004 0.250
Si2 0.686 0.692 0.250
Si3 0.001 0.311 0.250
Si4 0.305 0.305 0.749
Si5 0.995 0.698 0.750
Si6 0.697 0.997 0.750
Si7 0.962 0.326 0.585
Si8 0.370 0.045 0.584
Si9 0.672 0.628 0.584
Si10 0.965 0.636 0.083
Si11 0.367 0.334 0.083
Si12 0.032 0.362 0.915
Si13 0.335 0.966 0.917
Si14 0.636 0.972 0.418
Si15 0.027 0.663 0.419
S1 0.670 0.038 0.084
S2 0.625 0.668 0.915
S3 0.339 0.372 0.416
O1 0.239 0.048 0.308
O2 0.808 0.772 0.306
O3 0.964 0.194 0.308
O4 0.234 0.194 0.808
O5 0.957 0.766 0.809
O6 0.805 0.035 0.809
O7 0.797 0.972 0.695
O8 0.178 0.209 0.694
O9 0.023 0.823 0.695
O10 0.759 0.810 0.193
O11 0.038 0.232 0.193
O12 0.192 0.961 0.194
O13 0.869 0.348 0.641
O14 0.483 0.141 0.640
O15 0.657 0.517 0.641
O16 0.859 0.518 0.138
O17 0.653 0.124 0.136
O18 0.479 0.335 0.139
O19 0.448 0.310 0.023
O20 0.865 0.548 0.023
O21 0.685 0.132 0.030
O22 0.463 0.157 0.525
O23 0.693 0.536 0.525
O24 0.847 0.303 0.527
O25 0.548 0.683 0.970
O26 0.138 0.442 0.975
O27 0.327 0.869 0.977
O28 0.556 0.860 0.476
O29 0.319 0.450 0.470
O30 0.133 0.680 0.477
O31 0.124 0.643 0.362
O32 0.518 0.871 0.362
O33 0.351 0.473 0.365
O34 0.142 0.480 0.859
O35 0.344 0.858 0.860
O36 0.525 0.657 0.864
O37 0.011 0.829 0.414
O38 0.825 0.007 0.413
O39 0.192 0.206 0.412
O40 0.002 0.175 0.913
O41 0.165 0.975 0.915
O42 0.791 0.814 0.912
O43 0.968 0.154 0.588
O44 0.190 0.033 0.588
O45 0.841 0.809 0.587
O46 0.976 0.816 0.086
O47 0.818 0.024 0.088
O48 0.180 0.177 0.087
O49 0.669 0.156 0.742
O50 0.489 0.331 0.740
O51 0.840 0.512 0.742
O52 0.664 0.507 0.243
O53 0.839 0.333 0.243
O54 0.500 0.156 0.241
O55 0.637 0.516 0.916
O56 0.856 0.360 0.912
O57 0.500 0.149 0.912
O58 0.636 0.150 0.419
O59 0.491 0.361 0.419
O60 0.842 0.494 0.419
O61 0.371 0.512 0.087
O62 0.149 0.655 0.087
O63 0.521 0.872 0.082
O64 0.351 0.862 0.584
O65 0.507 0.643 0.583
O66 0.146 0.485 0.583
O67 0.332 0.839 0.258
O68 0.500 0.660 0.261
O69 0.163 0.495 0.258
O70 0.323 0.488 0.753
O71 0.165 0.686 0.752
O72 0.516 0.829 0.754
# Calculated volume   1764 Å³/cell
# Spin magnetization   0.000 μB per cell
# Space-group type   P1 (1)
# DFT formation energy   -2993.9 meV/atom

---

5.
# PBE NaPdO3, optimized geometry
data_NaPdO3
_cell_length_a 3.991
_cell_length_b 3.991
_cell_length_c 3.991
_cell_angle_alpha 90.00
_cell_angle_beta 90.00
_cell_angle_gamma 90.00
_space_group_name_H-M_alt 'P 1'
_space_group_IT_number 1
loop_
_space_group_symop_operation_xyz
'x,y,z'
loop_
_atom_site_label
_atom_site_fract_x
_atom_site_fract_y
_atom_site_fract_z
Na1 0.000 0.000 0.000
Pd1 0.500 0.500 0.500
O1 0.500 0.500 0.000
O2 0.500 0.000 0.500
O3 0.000 0.500 0.500
# Calculated volume   64 Å³/cell
# Spin magnetization   1.831 μB per cell
# Space-group type   Pm-3m (221)
# DFT formation energy   -772.0 meV/atom

---

6.
# PBE Cr2CoSe4, optimized geometry
data_Cr2CoSe4
_cell_length_a 4.852
_cell_length_b 5.588
_cell_length_c 49.389
_cell_angle_alpha 121.09
_cell_angle_beta 103.84
_cell_angle_gamma 84.29
_space_group_name_H-M_alt 'P 1'
_space_group_IT_number 1
loop_
_space_group_symop_operation_xyz
'x,y,z'
loop_
_atom_site_label
_atom_site_fract_x
_atom_site_fract_y
_atom_site_fract_z
Cr1 0.275 0.299 0.943
Cr2 0.256 0.291 0.855
Cr3 0.671 0.791 0.935
Cr4 0.360 0.113 0.724
Cr5 0.637 0.761 0.773
Cr6 0.346 0.207 0.602
Cr7 0.625 0.884 0.652
Cr8 0.365 0.130 0.472
Cr9 0.629 0.832 0.524
Cr10 0.361 0.236 0.353
Cr11 0.639 0.876 0.401
Cr12 0.242 0.221 0.184
Cr13 0.744 0.709 0.270
Cr14 0.187 0.260 0.021
Cr15 0.687 0.729 0.182
Cr16 0.818 0.735 0.103
Co1 0.962 0.970 0.874
Co2 0.955 0.005 0.750
Co3 0.033 0.009 0.626
Co4 0.023 0.009 0.501
Co5 0.042 0.985 0.375
Co6 0.043 0.036 0.251
Co7 0.377 0.293 0.107
Co8 0.694 0.717 0.022
Se1 0.098 0.771 0.907
Se2 0.435 0.820 0.979
Se3 0.158 0.891 0.789
Se4 0.588 0.267 0.903
Se5 0.254 0.657 0.843
Se6 0.158 0.815 0.660
Se7 0.196 0.883 0.038
Se8 0.641 0.328 0.780
Se9 0.292 0.671 0.722
Se10 0.171 0.841 0.538
Se11 0.751 0.123 0.838
Se12 0.691 0.330 0.654
Se13 0.336 0.673 0.596
Se14 0.169 0.789 0.408
Se15 0.831 0.204 0.716
Se16 0.671 0.317 0.528
Se17 0.313 0.657 0.470
Se18 0.253 0.879 0.287
Se19 0.817 0.145 0.588
Se20 0.711 0.321 0.403
Se21 0.353 0.664 0.345
Se22 0.785 0.085 0.084
Se23 0.839 0.175 0.464
Se24 0.751 0.347 0.283
Se25 0.409 0.735 0.222
Se26 0.885 0.295 0.973
Se27 0.841 0.105 0.336
Se28 0.295 0.587 0.085
Se29 0.603 0.192 0.149
Se30 0.896 0.240 0.219
Se31 0.718 0.406 0.040
Se32 0.116 0.688 0.151
# Calculated volume   1113 Å³/cell
# Spin magnetization   41.718 μB per cell
# Space-group type   P1 (1)
# DFT formation energy   -408.4 meV/atom

---

7.
# PBE YMg14Bi, optimized geometry
data_YMg14Bi
_cell_length_a 6.512
_cell_length_b 6.512
_cell_length_c 10.518
_cell_angle_alpha 90.00
_cell_angle_beta 90.00
_cell_angle_gamma 120.00
_space_group_name_H-M_alt 'P 1'
_space_group_IT_number 1
loop_
_space_group_symop_operation_xyz
'x,y,z'
loop_
_atom_site_label
_atom_site_fract_x
_atom_site_fract_y
_atom_site_fract_z
Y1 0.167 0.333 0.125
Mg1 0.173 0.836 0.125
Mg2 0.163 0.832 0.625
Mg3 0.664 0.327 0.125
Mg4 0.668 0.337 0.625
Mg5 0.664 0.836 0.125
Mg6 0.668 0.832 0.625
Mg7 0.335 0.165 0.374
Mg8 0.335 0.165 0.876
Mg9 0.335 0.670 0.374
Mg10 0.335 0.670 0.876
Mg11 0.830 0.165 0.374
Mg12 0.830 0.165 0.876
Mg13 0.833 0.667 0.370
Mg14 0.833 0.667 0.880
Bi1 0.167 0.333 0.625
# Calculated volume   386 Å³/cell
# Spin magnetization   0.000 μB per cell
# Space-group type   P-6m2 (187)
# DFT formation energy   -18.5 meV/atom

---

- Which of these has the lowest DFT formation energy?
  Na4LaHfSi2PO12